No. 1
Entry from the Materials Project database: an optimized crystal structure of SrMg14SnO16 (GGA-PBE).

a b c (Å): 8.805 8.805 4.484
angles (deg): 90.00 90.00 90.00
Space group P4/mmm (No. 123)
Inequivalent atoms, fractional coordinates:
Sr (0.000, 0.000, 0.000) x1
Mg (0.000, 0.259, 0.500) x4
Mg (0.000, 0.500, 0.000) x2
Mg (0.242, 0.500, 0.500) x4
Mg (0.251, 0.251, 0.000) x4
Sn (0.500, 0.500, 0.000) x1
O (0.000, 0.000, 0.500) x1
O (0.000, 0.269, 0.000) x4
O (0.000, 0.500, 0.500) x2
O (0.232, 0.500, 0.000) x4
O (0.250, 0.250, 0.500) x4
O (0.500, 0.500, 0.500) x1

Values from the calculation:
* energy: -0.42595 Ry/atom
* total energy after the MP2020 corrections: -6.139 eV per atom
* energy above the lowest structure with this stoichiometry: 0 meV/atom
* magnetic moment: 0.00 μB per formula unit
* calculated formation energy: -269 kJ per mole of atoms

***

No. 2
Entry from the Materials Project database: an optimized crystal structure of Mg2TaSnO6 (GGA-PBE).

a b c (Å): 5.453 7.823 5.539
angles (deg): 90.00 91.99 90.00
Space group P2_1/m (No. 11)
Inequivalent atoms, fractional coordinates:
Mg (0.008, 0.250, 0.040) x2
Mg (0.488, 0.250, 0.537) x2
Ta (0.500, 0.000, 0.000) x2
Sn (0.000, 0.000, 0.500) x2
O (0.127, 0.250, 0.406) x2
O (0.190, 0.571, 0.151) x4
O (0.359, 0.569, 0.682) x4
O (0.367, 0.250, 0.919) x2

Values from the calculation:
* energy: -0.52802 Ry/atom
* total energy after the MP2020 corrections: -7.596 eV per atom
* magnetic moment: 0.00 μB per formula unit
* calculated formation energy: -263 kJ per mole of atoms

***

Copy entry 1 word for word.
Entry from the Materials Project database: an optimized crystal structure of SrMg14SnO16 (GGA-PBE).

a b c (Å): 8.805 8.805 4.484
angles (deg): 90.00 90.00 90.00
Space group P4/mmm (No. 123)
Inequivalent atoms, fractional coordinates:
Sr (0.000, 0.000, 0.000) x1
Mg (0.000, 0.259, 0.500) x4
Mg (0.000, 0.500, 0.000) x2
Mg (0.242, 0.500, 0.500) x4
Mg (0.251, 0.251, 0.000) x4
Sn (0.500, 0.500, 0.000) x1
O (0.000, 0.000, 0.500) x1
O (0.000, 0.269, 0.000) x4
O (0.000, 0.500, 0.500) x2
O (0.232, 0.500, 0.000) x4
O (0.250, 0.250, 0.500) x4
O (0.500, 0.500, 0.500) x1

Values from the calculation:
* energy: -0.42595 Ry/atom
* total energy after the MP2020 corrections: -6.139 eV per atom
* energy above the lowest structure with this stoichiometry: 0 meV/atom
* magnetic moment: 0.00 μB per formula unit
* calculated formation energy: -269 kJ per mole of atoms